No. 1
Density functional theory data (PBE+U) for a geometry-optimized V6O5F19 structure.

Summary:
**Excess energy over the best structure of this formula in the dataset**: 7 meV/atom
**Calculated volume**: 431.8 Å³/cell
**Energy relative to the elements**: -2.7323 eV per atom
**Magnetic moment**: 1.00 μB/f.u.
**Total energy**: -5.839 eV/atom

abc: 5.3572 5.4973 14.9236
angles: 100.57 89.66 92.05
Atoms (fractional coordinates):
V  0.0323  0.9511  0.9957
V  0.5400  0.8020  0.6703
V  0.9496  0.6539  0.3382
V  0.5151  0.4863  0.0017
V  0.0331  0.2917  0.6636
V  0.4429  0.1925  0.3275
O  0.7696  0.6304  0.6860
O  0.7195  0.4536  0.3517
O  0.1974  0.7004  0.9747
O  0.2184  0.3767  0.3098
O  0.2087  0.0543  0.6482
F  0.7934  0.9439  0.3597
F  0.7147  0.8053  0.0244
F  0.2880  0.8843  0.3122
F  0.9047  0.9793  0.8891
F  0.5637  0.8123  0.5526
F  0.9441  0.6337  0.2186
F  0.4056  0.8768  0.7804
F  0.0938  0.7132  0.4471
F  0.4010  0.5488  0.1145
F  0.7929  0.3222  0.0269
F  0.2832  0.5388  0.6384
F  0.5723  0.4643  0.8839
F  0.9091  0.2852  0.5532
F  0.5924  0.1074  0.2204
F  0.0703  0.4158  0.7812
F  0.4401  0.2155  0.4472
F  0.0773  0.0591  0.1133
F  0.7248  0.1218  0.6946
F  0.3020  0.1794  0.9749

=====

No. 2
Density functional theory data (PBE+U) for a geometry-optimized VOF3 structure.

Summary:
**Calculated volume**: 357.7 Å³/cell
**Energy relative to the elements**: -2.6672 eV per atom
**Magnetic moment**: 0.00 μB/f.u.
**Total energy**: -5.868 eV/atom

abc: 7.9012 5.2979 9.0932
angles: 69.99 90.00 90.00
Atoms (fractional coordinates):
V  0.6756  0.8636  0.5481
V  0.8244  0.8636  0.0481
V  0.1756  0.1364  0.9519
V  0.3244  0.1364  0.4519
O  0.9400  0.9312  0.8892
O  0.5600  0.9312  0.3892
O  0.4400  0.0688  0.6108
O  0.0600  0.0688  0.1108
F  0.2700  0.8511  0.9293
F  0.2300  0.8511  0.4293
F  0.8571  0.7125  0.5061
F  0.5947  0.5923  0.7043
F  0.0947  0.4077  0.7957
F  0.3571  0.2875  0.9939
F  0.6429  0.7125  0.0061
F  0.9053  0.5923  0.2043
F  0.4053  0.4077  0.2957
F  0.1429  0.2875  0.4939
F  0.7700  0.1489  0.5707
F  0.7300  0.1489  0.0707

=====

No. 3
Density functional theory data (PBE+U) for a geometry-optimized VOF2 structure.

Summary:
**Calculated volume**: 208.6 Å³/cell
**Energy relative to the elements**: -2.8304 eV per atom
**Magnetic moment**: 1.00 μB/f.u.
**Total energy**: -6.468 eV/atom

abc: 5.1717 5.1950 9.3507
angles: 89.22 106.00 119.18
Atoms (fractional coordinates):
V  0.0000  0.0000  0.0000
V  0.5541  0.2661  0.7503
V  0.0000  0.5000  0.5000
V  0.4459  0.7339  0.2497
O  0.8266  0.2089  0.8708
O  0.2555  0.5486  0.3723
O  0.7445  0.4514  0.6277
O  0.1734  0.7911  0.1292
F  0.1657  0.2773  0.6275
F  0.3585  0.3906  0.1288
F  0.6451  0.1165  0.3698
F  0.2493  0.0327  0.8701
F  0.7507  0.9673  0.1299
F  0.3549  0.8835  0.6302
F  0.6415  0.6094  0.8712
F  0.8343  0.7227  0.3725

=====

No. 4
Density functional theory data (PBE+U) for a geometry-optimized V6O7F5 structure.

Summary:
**Excess energy over the best structure of this formula in the dataset**: 0 meV/atom
**Calculated volume**: 204.9 Å³/cell
**Energy relative to the elements**: -2.7618 eV per atom
**Magnetic moment**: 11.00 μB/f.u.
**Total energy**: -7.284 eV/atom

abc: 5.6122 5.6192 7.3634
angles: 72.37 72.79 71.73
Atoms (fractional coordinates):
V  0.6739  0.7067  0.8448
V  0.3234  0.3458  0.6692
V  0.6689  0.6274  0.3250
V  0.3190  0.3444  0.1629
V  0.9813  0.9999  0.5031
V  0.0298  0.9886  0.9984
O  0.0187  0.6516  0.6684
O  0.2318  0.2326  0.9623
O  0.7759  0.7723  0.0307
O  0.4311  0.4251  0.3711
O  0.3198  0.6981  0.9895
O  0.6237  0.0317  0.6755
O  0.9706  0.3499  0.3361
F  0.3672  0.9561  0.3356
F  0.5722  0.5699  0.6341
F  0.8923  0.8903  0.3009
F  0.0944  0.1041  0.6985
F  0.7062  0.3054  0.9938